Computed, not measured: a relaxed Ce2Te3 crystal at the r²SCAN level of DFT.

Output
Space-group type: No. 62
ΔE_f: -168.3 kJ/mol of atoms

abc: 12.381 4.482 12.155
angles: 90.00 90.00 90.00
Positions (direct):
Ce 0.012 0.250 0.187
Ce 0.194 0.250 0.503
Ce 0.306 0.750 0.003
Ce 0.488 0.750 0.687
Ce 0.512 0.250 0.313
Ce 0.694 0.250 0.997
Ce 0.806 0.750 0.497
Ce 0.988 0.750 0.813
Te 0.045 0.750 0.375
Te 0.121 0.250 0.944
Te 0.227 0.750 0.700
Te 0.273 0.250 0.200
Te 0.379 0.750 0.444
Te 0.455 0.250 0.875
Te 0.545 0.750 0.125
Te 0.621 0.250 0.556
Te 0.727 0.750 0.800
Te 0.773 0.250 0.300
Te 0.879 0.750 0.056
Te 0.955 0.250 0.625